Here is crystalline La3Sn at its relaxed geometry from the Materials Project. Energies are from GGA-PBE.

Structure (POSCAR):
```
La3Sn
1.0
-0.245 1.192 -4.894
-2.601 -4.226 -0.899
-4.314 2.480 0.820
La Sn
3 1
direct
0.500 0.000 0.500
0.000 0.500 0.500
0.500 0.500 0.000
0.000 0.000 0.000
```

Summary:
Its energy relative to the elements is -478 meV/atom.